[1]
Below is a relaxed Na2Nb5Ga3Si6S6O48 crystal, with properties calculated at the PBE-GGA level.

POSCAR file:
```
Na2Nb5Ga3Si6S6O48
1.0
17.651 -0.014 -0.002
-4.419 7.597 0.001
-0.003 0.004 22.730
O Si Nb S Ga Na
144 18 15 18 9 6
Direct
0.399 0.840 0.192
0.422 0.301 0.244
0.733 0.158 0.244
0.922 0.529 0.743
0.583 0.191 0.693
0.653 0.847 0.970
0.428 0.500 0.138
0.083 0.694 0.474
0.262 0.833 0.760
0.914 0.310 0.242
0.404 0.971 0.692
0.765 0.697 0.975
0.656 0.840 0.260
0.903 0.826 0.902
0.676 0.853 0.568
0.742 0.130 0.921
0.974 0.146 0.312
0.935 0.510 0.136
0.153 0.474 0.761
0.073 0.508 0.861
0.399 0.824 0.913
0.257 0.644 0.864
0.426 0.362 0.920
0.415 0.036 0.810
0.245 0.630 0.571
0.153 0.833 0.255
0.924 0.361 0.920
0.105 0.048 0.308
0.907 0.780 0.303
0.988 0.797 0.092
0.754 0.648 0.575
0.923 0.300 0.530
0.593 0.968 0.197
0.347 0.149 0.030
0.491 0.825 0.087
0.322 0.164 0.427
0.083 0.473 0.975
0.245 0.357 0.423
0.925 0.482 0.424
0.582 0.192 0.402
0.725 0.297 0.031
0.983 0.787 0.803
0.416 0.033 0.090
0.079 0.696 0.756
0.851 0.166 0.745
0.513 0.820 0.697
0.598 0.173 0.094
0.065 0.637 0.077
0.518 0.213 0.196
0.563 0.494 0.576
0.249 0.871 0.360
0.424 0.809 0.307
0.182 0.493 0.077
0.423 0.533 0.743
0.268 0.693 0.971
0.841 0.531 0.239
0.242 0.171 0.237
0.684 0.501 0.355
0.751 0.133 0.639
0.924 0.546 0.030
0.579 0.472 0.258
0.349 0.524 0.242
0.747 0.858 0.073
0.100 0.026 0.590
0.081 0.973 0.191
0.582 0.961 0.911
0.815 0.479 0.927
0.180 0.483 0.364
0.580 0.700 0.758
0.820 0.128 0.422
0.262 0.686 0.264
0.186 0.869 0.860
0.244 0.127 0.637
0.988 0.174 0.590
0.608 0.165 0.810
0.488 0.178 0.302
0.917 0.022 0.093
0.158 0.836 0.975
0.069 0.643 0.360
0.009 0.188 0.195
0.744 0.355 0.137
0.912 0.028 0.803
0.403 0.982 0.408
0.229 0.152 0.530
0.156 0.463 0.471
0.517 0.827 0.409
0.257 0.864 0.076
0.756 0.876 0.361
0.766 0.697 0.256
0.422 0.302 0.529
0.434 0.508 0.420
0.681 0.489 0.079
0.487 0.179 0.588
0.563 0.640 0.361
0.265 0.840 0.476
0.255 0.162 0.929
0.083 0.966 0.910
0.569 0.638 0.071
0.085 0.201 0.415
0.748 0.633 0.861
0.101 0.179 0.091
0.821 0.145 0.139
0.009 0.844 0.410
0.741 0.177 0.523
0.181 0.870 0.578
0.744 0.312 0.743
0.596 0.027 0.594
0.576 0.690 0.469
0.765 0.839 0.468
0.937 0.359 0.637
0.895 0.820 0.197
0.319 0.122 0.136
0.482 0.788 0.804
0.228 0.301 0.030
0.927 0.834 0.595
0.408 0.529 0.025
0.861 0.557 0.526
0.584 0.474 0.974
0.093 0.153 0.806
0.655 0.478 0.758
0.350 0.523 0.523
0.569 0.493 0.859
0.084 0.470 0.261
0.314 0.503 0.923
0.514 0.179 0.916
0.752 0.353 0.419
0.081 0.190 0.689
0.766 0.851 0.760
0.014 0.194 0.909
0.823 0.505 0.641
0.896 0.961 0.412
0.435 0.359 0.635
0.678 0.871 0.863
0.652 0.475 0.472
0.065 0.490 0.576
0.417 0.805 0.593
0.236 0.303 0.742
0.245 0.359 0.136
0.891 0.967 0.697
0.348 0.174 0.738
0.606 0.030 0.304
0.320 0.493 0.638
0.012 0.816 0.696
0.852 0.182 0.025
0.142 0.006 0.250
0.176 0.969 0.918
0.359 0.724 0.250
0.834 0.049 0.077
0.332 0.611 0.578
0.361 0.003 0.751
0.809 0.654 0.920
0.692 0.052 0.576
0.473 0.626 0.079
0.672 0.387 0.413
0.016 0.665 0.416
0.019 0.385 0.916
0.134 0.276 0.748
0.846 0.638 0.583
0.306 0.968 0.418
0.642 0.278 0.751
0.519 0.367 0.919
0.999 0.278 0.258
0.001 0.012 0.146
0.163 0.679 0.308
0.494 0.994 0.363
0.499 0.001 0.640
0.327 0.335 0.692
0.833 0.319 0.189
0.167 0.672 0.808
0.168 0.673 0.521
0.340 0.346 0.192
0.165 0.666 0.020
0.665 0.647 0.813
0.674 0.663 0.525
0.006 0.006 0.865
0.665 0.660 0.025
0.825 0.327 0.684
0.663 0.953 0.916
0.811 0.956 0.415
0.188 0.047 0.583
0.523 0.661 0.415
0.192 0.334 0.082
0.857 0.001 0.751
0.976 0.329 0.582
0.852 0.712 0.251
0.501 0.719 0.752
0.642 0.990 0.251
0.976 0.620 0.082
0.166 0.376 0.417
0.999 0.713 0.749
0.336 0.047 0.083
0.687 0.325 0.084
0.475 0.335 0.582
0.312 0.667 0.916
0.506 0.291 0.249
0.836 0.329 0.975
0.996 0.005 0.648
0.493 0.973 0.146
0.331 0.333 0.481
0.506 0.041 0.851
0.345 0.340 0.976
0.008 0.001 0.353
0.672 0.666 0.318
0.830 0.362 0.478
0.327 0.325 0.338
0.335 0.323 0.840
0.996 0.986 0.498
0.501 0.998 0.998
0.836 0.341 0.345
0.832 0.336 0.839
```

=====

[2]
Below is a relaxed Na6Nb6Ga2Si9S3O48 crystal, with properties calculated at the PBE-GGA level.

POSCAR file:
```
Na6Nb6Ga2Si9S3O48
1.0
-4.292 16.121 6.218
-5.070 -3.867 -6.206
-12.599 -9.677 16.340
Na O Si Nb S Ga
18 144 27 18 9 6
Direct
0.339 0.335 0.831
0.504 0.999 0.496
0.994 0.367 0.748
0.662 0.669 0.662
0.002 0.008 0.500
0.503 0.997 0.998
0.004 0.011 0.993
0.820 0.629 0.749
0.186 0.006 0.744
0.684 0.367 0.247
0.831 0.325 0.827
0.494 0.621 0.249
0.172 0.672 0.664
0.321 0.013 0.251
0.671 0.670 0.165
0.330 0.339 0.332
0.838 0.341 0.335
0.167 0.658 0.166
0.076 0.974 0.909
0.820 0.143 0.144
0.680 0.505 0.075
0.682 0.861 0.858
0.577 0.179 0.409
0.652 0.472 0.473
0.250 0.368 0.142
0.750 0.857 0.076
0.414 0.523 0.028
0.484 0.162 0.307
0.608 0.033 0.302
0.340 0.175 0.745
0.768 0.690 0.969
0.014 0.835 0.411
0.656 0.834 0.974
0.177 0.506 0.076
0.750 0.863 0.358
0.756 0.644 0.578
0.681 0.491 0.359
0.741 0.310 0.028
0.758 0.638 0.862
0.258 0.872 0.361
0.920 0.028 0.093
0.652 0.840 0.253
0.417 0.306 0.525
0.586 0.483 0.255
0.941 0.519 0.138
0.404 0.841 0.194
0.426 0.491 0.422
0.080 0.190 0.407
0.762 0.821 0.758
0.514 0.815 0.698
0.487 0.165 0.587
0.070 0.496 0.578
0.759 0.682 0.255
0.766 0.833 0.474
0.086 0.690 0.756
0.984 0.805 0.808
0.917 0.804 0.306
0.986 0.160 0.593
0.409 0.839 0.909
0.245 0.165 0.242
0.925 0.542 0.031
0.820 0.509 0.923
0.107 0.182 0.803
0.155 0.829 0.258
0.314 0.494 0.645
0.486 0.813 0.092
0.397 0.970 0.411
0.262 0.703 0.257
0.843 0.506 0.242
0.070 0.640 0.360
0.986 0.184 0.303
0.915 0.306 0.528
0.019 0.841 0.694
0.928 0.367 0.926
0.098 0.030 0.306
0.181 0.869 0.860
0.577 0.505 0.576
0.578 0.692 0.756
0.413 0.306 0.243
0.421 0.534 0.747
0.010 0.177 0.910
0.349 0.526 0.247
0.082 0.469 0.971
0.435 0.502 0.147
0.259 0.834 0.757
0.936 0.369 0.647
0.082 0.974 0.193
0.751 0.144 0.922
0.585 0.474 0.975
0.752 0.361 0.425
0.234 0.305 0.026
0.986 0.797 0.088
0.820 0.142 0.421
0.252 0.354 0.421
0.926 0.495 0.424
0.155 0.476 0.473
0.236 0.170 0.527
0.090 0.209 0.697
0.568 0.641 0.356
0.746 0.326 0.743
0.735 0.166 0.527
0.582 0.193 0.693
0.093 0.164 0.092
0.591 0.973 0.196
0.092 0.024 0.591
0.250 0.645 0.575
0.319 0.496 0.921
0.421 0.806 0.308
0.416 0.026 0.806
0.744 0.368 0.145
0.656 0.479 0.759
0.903 0.965 0.694
0.266 0.696 0.973
0.249 0.636 0.858
0.078 0.463 0.254
0.441 0.375 0.643
0.067 0.645 0.078
0.067 0.494 0.856
0.681 0.854 0.576
0.849 0.169 0.027
0.849 0.172 0.748
0.411 0.024 0.088
0.922 0.310 0.243
0.594 0.020 0.592
0.489 0.793 0.804
0.252 0.141 0.926
0.734 0.158 0.243
0.514 0.192 0.911
0.345 0.149 0.031
0.233 0.310 0.744
0.921 0.038 0.809
0.150 0.463 0.754
0.152 0.832 0.975
0.570 0.502 0.860
0.580 0.696 0.471
0.241 0.117 0.646
0.013 0.209 0.196
0.320 0.116 0.139
0.903 0.830 0.192
0.751 0.135 0.643
0.269 0.847 0.469
0.570 0.643 0.077
0.822 0.525 0.639
0.913 0.798 0.588
0.254 0.865 0.077
0.426 0.356 0.925
0.420 0.808 0.593
0.181 0.501 0.359
0.511 0.844 0.409
0.908 0.978 0.407
0.317 0.126 0.420
0.179 0.855 0.574
0.897 0.822 0.912
0.519 0.197 0.194
0.914 0.521 0.744
0.593 0.160 0.090
0.580 0.971 0.909
0.349 0.532 0.528
0.402 0.973 0.692
0.599 0.167 0.807
0.846 0.541 0.531
0.085 0.697 0.474
0.858 0.002 0.753
0.647 0.286 0.748
0.168 0.377 0.417
0.661 0.363 0.419
0.834 0.050 0.088
0.664 0.948 0.916
0.518 0.673 0.413
0.692 0.047 0.587
0.019 0.365 0.913
0.811 0.950 0.417
0.333 0.616 0.589
0.690 0.334 0.085
0.147 0.006 0.249
0.191 0.336 0.086
0.478 0.341 0.584
0.160 0.958 0.919
0.523 0.384 0.918
0.313 0.672 0.914
0.022 0.659 0.419
0.498 0.287 0.252
0.357 0.011 0.748
0.191 0.048 0.584
0.998 0.711 0.752
0.358 0.714 0.253
0.856 0.702 0.248
0.970 0.328 0.588
0.470 0.613 0.088
0.160 0.653 0.527
0.997 0.991 0.644
0.829 0.315 0.476
0.166 0.654 0.015
0.659 0.669 0.518
0.000 0.997 0.144
0.497 0.003 0.144
0.660 0.665 0.027
0.829 0.312 0.977
0.502 0.019 0.856
0.169 0.680 0.815
0.002 0.986 0.358
0.662 0.667 0.810
0.329 0.342 0.976
0.669 0.658 0.317
0.499 0.013 0.639
0.165 0.660 0.313
0.335 0.347 0.481
0.646 0.002 0.250
0.997 0.286 0.250
0.496 0.710 0.750
0.811 0.668 0.917
0.978 0.620 0.084
0.146 0.290 0.750
0.331 0.044 0.084
0.311 0.954 0.417
0.831 0.618 0.584
0.336 0.321 0.676
0.331 0.353 0.191
0.832 0.311 0.691
0.998 0.997 0.854
0.497 0.999 0.355
0.830 0.340 0.180
```

=====

Number 1: magnetization 0.00 μB/f.u., E_form -2.5270 eV/atom, VASP energy -7.157 eV/atom. Number 2: magnetization 0.00 μB/f.u., E_form -2.7535 eV/atom, VASP energy -7.353 eV/atom.